Computed, not measured: a relaxed structure of Ba2Ag8S7 at the meta-GGA r2SCAN level of DFT.

Cell lengths 4.4481, 10.8835, 15.8824 Å; angles 90.00, 90.00, 90.00 degrees
Fractional coordinates of all 34 atoms:
1 Ag 0.7571 0.6303 0.7912
2 Ag 0.2571 0.3697 0.2912
3 Ag 0.6531 0.7832 0.0000
4 Ag 0.7571 0.6303 0.2088
5 Ag 0.7657 0.1998 0.3553
6 Ag 0.2571 0.3697 0.7088
7 Ag 0.7487 0.4208 0.0000
8 Ag 0.7555 0.4857 0.6072
9 Ag 0.2657 0.8002 0.8553
10 Ag 0.2657 0.8002 0.1447
11 Ag 0.2555 0.5143 0.1072
12 Ag 0.7657 0.1998 0.6447
13 Ag 0.7555 0.4857 0.3928
14 Ag 0.2487 0.5792 0.5000
15 Ag 0.2555 0.5143 0.8928
16 Ag 0.1531 0.2168 0.5000
17 S 0.1475 0.6921 0.0000
18 S 0.7470 0.4199 0.1534
19 S 0.2470 0.5801 0.6534
20 S 0.7599 0.9962 0.5000
21 S 0.7593 0.8528 0.2201
22 S 0.7470 0.4199 0.8466
23 S 0.2593 0.1472 0.2799
24 S 0.2470 0.5801 0.3466
25 S 0.2599 0.0038 0.0000
26 S 0.2593 0.1472 0.7201
27 S 0.6475 0.3079 0.5000
28 S 0.7593 0.8528 0.7799
29 S 0.2659 0.2006 0.0000
30 S 0.7659 0.7994 0.5000
31 Ba 0.7615 0.1196 0.8639
32 Ba 0.2615 0.8804 0.3639
33 Ba 0.2615 0.8804 0.6361
34 Ba 0.7615 0.1196 0.1361

Results
- Space group: No. 31
- Energy of formation from the pure elements: -0.659 eV/atom